[1]
Below is a relaxed structure of DyAsS, with properties calculated at the PBE-GGA level.

Values from the calculation:
Uncorrected energy: -36.08 eV for the cell shown
SG: Pmmn (59)
Energy of formation: -5.1 eV/f.u.
Volume: 125.8 Å³/cell

```
DyAsS
1.0
3.8337 0.0000 0.0000
0.0000 3.8517 0.0000
0.0000 0.0000 8.5161
Dy As S
2 2 2
Direct
0.2500 0.2500 0.2087
0.7500 0.7500 0.7913
0.2500 0.7500 0.4966
0.7500 0.2500 0.5034
0.2500 0.2500 0.8737
0.7500 0.7500 0.1263
```



[2]
Below is a relaxed structure of DyAsSe, with properties calculated at the PBE-GGA level.

Values from the calculation:
Uncorrected energy: -68.26 eV for the cell shown
SG: Pnma (62)
Energy of formation: -4.8 eV/f.u.
Volume: 271.3 Å³/cell

```
DyAsSe
1.0
17.5899 0.0000 0.0000
0.0000 3.9145 0.0000
0.0000 0.0000 3.9400
Dy As Se
4 4 4
Direct
0.1393 0.2500 0.2296
0.3607 0.7500 0.7296
0.6393 0.2500 0.2704
0.8607 0.7500 0.7704
0.0021 0.2500 0.7141
0.4979 0.7500 0.2141
0.5021 0.2500 0.7859
0.9979 0.7500 0.2859
0.1877 0.7500 0.7313
0.3123 0.2500 0.2313
0.6877 0.7500 0.7687
0.8123 0.2500 0.2687
```



[3]
Below is a relaxed structure of DyTeAs, with properties calculated at the PBE-GGA level.

Values from the calculation:
Uncorrected energy: -63.76 eV for the cell shown
SG: Pnma (62)
Energy of formation: -3.5 eV/f.u.
Volume: 305.8 Å³/cell

```
DyTeAs
1.0
7.5477 0.0000 0.0000
0.0000 4.0722 0.0000
0.0000 0.0000 9.9509
Dy Te As
4 4 4
Direct
0.2308 0.2500 0.1588
0.2692 0.7500 0.6588
0.7308 0.2500 0.3412
0.7692 0.7500 0.8412
0.0858 0.2500 0.8519
0.4142 0.7500 0.3519
0.5858 0.2500 0.6481
0.9142 0.7500 0.1481
0.0975 0.2500 0.4603
0.4025 0.7500 0.9603
0.5975 0.2500 0.0397
0.9025 0.7500 0.5397
```